A plane-wave DFT calculation with PBE was carried out for a relaxed structure of Nd2Te3.

Cell lengths 12.370, 4.439, 12.029 Å; angles 90.00, 90.00, 90.00 degrees
Space group Pnma (No. 62)
One atom of each set of equivalent atoms:
Nd: 0.017 0.250 0.188 x4
Nd: 0.197 0.250 0.497 x4
Te: 0.042 0.750 0.377 x4
Te: 0.119 0.250 0.943 x4
Te: 0.225 0.750 0.698 x4


A plane-wave DFT calculation with PBE was carried out for a relaxed structure of NdTe3.

Cell lengths 4.390, 27.522, 4.395 Å; angles 90.00, 90.00, 90.00 degrees
Space group Cmcm (No. 63)
One atom of each set of equivalent atoms:
Nd: 0.000 0.172 0.250 x4
Te: 0.000 0.079 0.750 x4
Te: 0.000 0.293 0.250 x4
Te: 0.000 0.421 0.750 x4


A plane-wave DFT calculation with PBE was carried out for a relaxed structure of Nd2Te5.

Cell lengths 4.437, 45.869, 4.440 Å; angles 90.00, 90.00, 90.00 degrees
Space group Cmcm (No. 63)
One atom of each set of equivalent atoms:
Nd: 0.000 0.102 0.250 x4
Nd: 0.000 0.306 0.250 x4
Te: 0.000 0.046 0.750 x4
Te: 0.000 0.175 0.250 x4
Te: 0.000 0.250 0.750 x4
Te: 0.000 0.377 0.250 x4
Te: 0.000 0.454 0.750 x4


A plane-wave DFT calculation with PBE was carried out for a relaxed structure of Nd3Te4.

Cell lengths 9.545, 9.545, 9.545 Å; angles 90.00, 90.00, 90.00 degrees
Space group I-43d (No. 220)
One atom of each set of equivalent atoms:
Nd: 0.000 0.250 0.875 x12
Te: 0.075 0.425 0.575 x16


Number 1: calculated formation energy -1.717 eV per atom, calculated total energy -5.257 eV/atom. Number 2: calculated formation energy -1.318 eV per atom, calculated total energy -4.551 eV/atom. Number 3: calculated formation energy -1.379 eV per atom, calculated total energy -4.685 eV/atom. Number 4: calculated formation energy -1.667 eV per atom, calculated total energy -5.266 eV/atom.